The following is a PBE calculation of crystalline HoB4Rh4 at its relaxed geometry, from Materials Project.

Values from the calculation:
The value obtained for the calculated total energy is -7.3300 eV/atom. As for the space group: P4_2/nmc (137). Its calculated formation energy is -5.21 eV/f.u.

Cell lengths 5.334, 5.334, 7.443 Å; angles 90.00, 90.00, 90.00 degrees
Fractional positions:
B 0.169 0.500 0.151
Rh 0.249 0.000 0.645
Rh 0.000 0.751 0.355
B 0.000 0.669 0.651
Rh 0.749 0.500 0.855
B 0.669 0.000 0.349
Ho 0.000 0.000 0.000
Rh 0.500 0.251 0.145
Rh 0.251 0.500 0.855
Ho 0.500 0.500 0.500
Rh 0.000 0.249 0.355
B 0.831 0.500 0.151
B 0.500 0.831 0.849
B 0.000 0.331 0.651
B 0.331 0.000 0.349
Rh 0.500 0.749 0.145
Rh 0.751 0.000 0.645
B 0.500 0.169 0.849



The following is a PBE calculation of crystalline HoB4Rh7 at its relaxed geometry, from Materials Project.

Values from the calculation:
The value obtained for the calculated total energy is -7.2467 eV/atom. As for the space group: Pmm2 (25). Its calculated formation energy is -4.11 eV/f.u.

Cell lengths 2.916, 5.556, 9.618 Å; angles 90.00, 90.00, 90.00 degrees
Fractional positions:
B 0.000 0.500 0.167
Rh 0.000 0.500 0.500
B 0.000 0.000 0.334
B 0.000 0.500 0.833
Rh 0.500 0.249 0.249
Rh 0.500 0.249 0.751
Rh 0.500 0.006 0.500
B 0.000 0.000 0.666
Rh 0.500 0.503 0.000
Ho 0.000 0.000 0.000
Rh 0.500 0.746 0.747
Rh 0.500 0.746 0.253



The following is a PBE calculation of crystalline HoB4Rh at its relaxed geometry, from Materials Project.

Values from the calculation:
The value obtained for the calculated total energy is -7.0615 eV/atom. As for the space group: Pbam (55). Its calculated formation energy is -3.70 eV/f.u.

Cell lengths 3.568, 5.964, 11.559 Å; angles 90.00, 90.00, 90.00 degrees
Fractional positions:
B 0.000 0.976 0.807
B 0.000 0.288 0.813
B 0.000 0.788 0.687
Rh 0.500 0.358 0.405
B 0.000 0.887 0.953
Rh 0.500 0.142 0.905
B 0.000 0.524 0.307
Ho 0.500 0.370 0.149
B 0.000 0.476 0.693
Rh 0.500 0.642 0.595
B 0.000 0.024 0.193
B 0.000 0.212 0.313
B 0.000 0.864 0.531
B 0.000 0.136 0.469
Rh 0.500 0.858 0.095
B 0.000 0.387 0.547
B 0.000 0.712 0.187
Ho 0.500 0.130 0.649
Ho 0.500 0.870 0.351
B 0.000 0.364 0.969
Ho 0.500 0.630 0.851
B 0.000 0.113 0.047
B 0.000 0.636 0.031
B 0.000 0.613 0.453



Question: calculated formation energy of number 3 (HoB4Rh)?
Answer: -3.70 eV/f.u.